(1)
Computed, not measured: a relaxed Hf3Rh5 crystal at the GGA-PBE level of DFT.

abc: 5.6177 10.9224 4.3027
angles: 90.00 90.00 90.00
Last column: nearest neighbours and their distance in Å.
Space group Pbam (No. 55)
Inequivalent atoms, fractional coordinates:
Hf (0.0000, 0.0000, 0.0000) [2 per cell]  8 Rh 2.66-2.81
Hf (0.1563, 0.3545, 0.5000) [4 per cell]  10 Rh 2.69-2.99
Rh (0.0000, 0.5000, 0.0000) [2 per cell]  6 Hf 2.81-2.82, 6 Rh 2.87-3.03
Rh (0.1011, 0.7579, 0.0000) [4 per cell]  5 Hf 2.70-2.87, 5 Rh 2.81-2.97
Rh (0.1827, 0.1073, 0.5000) [4 per cell]  5 Hf 2.66-2.91, 2 Rh 2.97

Calculated values
The value obtained for the total DFT energy (no corrections) is -0.34000 Ha/atom. The calculation puts the formation energy at -0.915 eV/atom. The calculated density comes out at 13.2 g cm⁻³.

(2)
Computed, not measured: a relaxed Hf2RuRh crystal at the GGA-PBE level of DFT.

abc: 6.5180 6.5180 6.5180
angles: 90.00 90.00 90.00
Last column: nearest neighbours and their distance in Å.
Space group Fm-3m (No. 225)
Inequivalent atoms, fractional coordinates:
Hf (0.2500, 0.2500, 0.2500) [8 per cell]  4 Ru 2.82, 4 Rh 2.82
Ru (0.0000, 0.0000, 0.0000) [4 per cell]  8 Hf 2.82
Rh (0.0000, 0.0000, 0.5000) [4 per cell]  8 Hf 2.82

Calculated values
The value obtained for the total DFT energy (no corrections) is -0.36615 Ha/atom. The calculation puts the formation energy at -0.825 eV/atom. The calculated density comes out at 13.5 g cm⁻³.

(3)
Computed, not measured: a relaxed HfSiRh crystal at the GGA-PBE level of DFT.

abc: 6.5146 3.9305 7.4559
angles: 90.00 90.00 90.00
Last column: nearest neighbours and their distance in Å.
Space group Pnma (No. 62)
Inequivalent atoms, fractional coordinates:
Hf (0.0202, 0.2500, 0.1842) [4 per cell]  5 Si 2.79-2.80, 6 Rh 2.93-3.04
Si (0.2264, 0.7500, 0.3822) [4 per cell]  4 Rh 2.44-2.50
Rh (0.1508, 0.2500, 0.5650) [4 per cell]  4 Si 2.44-2.50

Calculated values
The value obtained for the total DFT energy (no corrections) is -0.31790 Ha/atom. The calculation puts the formation energy at -1.068 eV/atom. The calculated density comes out at 10.8 g cm⁻³.

(4)
Computed, not measured: a relaxed HfRu crystal at the GGA-PBE level of DFT.

abc: 3.2442 3.2442 3.2442
angles: 90.00 90.00 90.00
Last column: nearest neighbours and their distance in Å.
Space group Pm-3m (No. 221)
Inequivalent atoms, fractional coordinates:
Hf (0.0000, 0.0000, 0.0000) [1 per cell]  8 Ru 2.81
Ru (0.5000, 0.5000, 0.5000) [1 per cell]  8 Hf 2.81

Calculated values
The value obtained for the total DFT energy (no corrections) is -0.38384 Ha/atom. The calculation puts the formation energy at -0.829 eV/atom. The calculated density comes out at 13.6 g cm⁻³.

(5)
Computed, not measured: a relaxed HfSbRu crystal at the GGA-PBE level of DFT.

abc: 6.3185 6.3185 6.3185
angles: 90.00 90.00 90.00
Last column: nearest neighbours and their distance in Å.
Space group F-43m (No. 216)
Inequivalent atoms, fractional coordinates:
Hf (0.0000, 0.0000, 0.0000) [4 per cell]  4 Ru 2.74
Sb (0.0000, 0.0000, 0.5000) [4 per cell]  4 Ru 2.74
Ru (0.2500, 0.2500, 0.7500) [4 per cell]  4 Hf 2.74, 4 Sb 2.74

Calculated values
The value obtained for the total DFT energy (no corrections) is -0.30600 Ha/atom. The calculation puts the formation energy at -0.540 eV/atom. The calculated density comes out at 10.6 g cm⁻³.

(6)
Computed, not measured: a relaxed Hf2Si4Ru3 crystal at the GGA-PBE level of DFT.

abc: 19.0065 5.3576 13.3160
angles: 90.00 127.58 90.00
Last column: nearest neighbours and their distance in Å.
Space group C2/c (No. 15)
Inequivalent atoms, fractional coordinates:
Hf (0.0735, 0.1285, 0.1482) [8 per cell]  6 Si 2.75-3.00, 3 Ru 2.90-2.97
Hf (0.1659, 0.3718, 0.8622) [8 per cell]  8 Si 2.70-2.92, 1 Ru 2.88
Si (0.0000, 0.1186, 0.7500) [4 per cell]  4 Ru 2.45-2.53, 2 Si 2.63-2.73
Si (0.0000, 0.3727, 0.2500) [4 per cell]  4 Ru 2.37-2.44, 1 Si 2.63
Si (0.1132, 0.3578, 0.6057) [8 per cell]  4 Ru 2.37-2.63, 1 Si 2.61
Si (0.1708, 0.2432, 0.0644) [8 per cell]  4 Ru 2.39-2.50, 2 Si 2.55-2.61
Si (0.2345, 0.1229, 0.3955) [8 per cell]  4 Ru 2.45-2.64, 1 Si 2.55
Ru (0.0212, 0.3870, 0.9157) [8 per cell]  5 Si 2.37-2.45
Ru (0.1227, 0.1439, 0.4326) [8 per cell]  6 Si 2.44-2.68
Ru (0.2380, 0.0876, 0.7197) [8 per cell]  6 Si 2.37-2.64

Calculated values
The value obtained for the total DFT energy (no corrections) is -0.31446 Ha/atom. The calculation puts the formation energy at -0.841 eV/atom. The calculated density comes out at 9.6 g cm⁻³.

(7)
Computed, not measured: a relaxed HfSiRu2 crystal at the GGA-PBE level of DFT.

abc: 6.1891 6.1891 6.1891
angles: 90.00 90.00 90.00
Last column: nearest neighbours and their distance in Å.
Space group Fm-3m (No. 225)
Inequivalent atoms, fractional coordinates:
Hf (0.0000, 0.0000, 0.0000) [4 per cell]  8 Ru 2.68
Si (0.0000, 0.0000, 0.5000) [4 per cell]  8 Ru 2.68
Ru (0.2500, 0.2500, 0.2500) [8 per cell]  4 Hf 2.68, 4 Si 2.68

Calculated values
The value obtained for the total DFT energy (no corrections) is -0.34114 Ha/atom. The calculation puts the formation energy at -0.800 eV/atom. The calculated density comes out at 11.5 g cm⁻³.

(8)
Computed, not measured: a relaxed HfSiRu crystal at the GGA-PBE level of DFT.

abc: 6.6657 6.6657 3.6989
angles: 90.00 90.00 120.00
Last column: nearest neighbours and their distance in Å.
Space group P-62m (No. 189)
Inequivalent atoms, fractional coordinates:
Hf (0.0000, 0.4134, 0.0000) [3 per cell]  5 Si 2.73-2.76, 6 Ru 2.93-3.03
Si (0.0000, 0.0000, 0.0000) [1 per cell]  6 Ru 2.47, 3 Hf 2.76
Si (0.3333, 0.6667, 0.5000) [2 per cell]  3 Ru 2.56, 6 Hf 2.73
Ru (0.0000, 0.7541, 0.5000) [3 per cell]  4 Si 2.47-2.56

Calculated values
The value obtained for the total DFT energy (no corrections) is -0.33673 Ha/atom. The calculation puts the formation energy at -0.944 eV/atom. The calculated density comes out at 10.8 g cm⁻³.

(9)
Computed, not measured: a relaxed HfSiRu crystal at the GGA-PBE level of DFT.

abc: 7.3670 11.5190 6.6737
angles: 90.00 90.00 90.00
Last column: nearest neighbours and their distance in Å.
Space group Ima2 (No. 46)
Inequivalent atoms, fractional coordinates:
Hf (0.2500, 0.0026, 0.0000) [4 per cell]  5 Si 2.71-2.75, 4 Ru 2.89-2.95
Hf (0.2500, 0.2208, 0.3552) [4 per cell]  5 Si 2.71-2.74, 2 Ru 2.90
Hf (0.2500, 0.6978, 0.8797) [4 per cell]  5 Si 2.72-2.93, 6 Ru 2.85-2.95
Si (0.0057, 0.6675, 0.5792) [8 per cell]  3 Ru 2.55-2.57, 6 Hf 2.71-2.73
Si (0.2500, 0.0255, 0.5900) [4 per cell]  6 Ru 2.46-2.53, 2 Hf 2.74-2.75
Ru (0.0000, 0.0000, 0.3345) [4 per cell]  4 Si 2.53-2.57
Ru (0.0276, 0.6239, 0.2045) [8 per cell]  4 Si 2.46-2.56

Calculated values
The value obtained for the total DFT energy (no corrections) is -0.33707 Ha/atom. The calculation puts the formation energy at -0.953 eV/atom. The calculated density comes out at 10.8 g cm⁻³.

(10)
Computed, not measured: a relaxed TmHfRu2 crystal at the GGA-PBE level of DFT.

abc: 6.5893 6.5893 6.5893
angles: 90.00 90.00 90.00
Last column: nearest neighbours and their distance in Å.
Space group Fm-3m (No. 225)
Inequivalent atoms, fractional coordinates:
Tm (0.0000, 0.0000, 0.0000) [4 per cell]  8 Ru 2.85
Hf (0.0000, 0.0000, 0.5000) [4 per cell]  8 Ru 2.85
Ru (0.2500, 0.2500, 0.2500) [8 per cell]  4 Hf 2.85, 4 Tm 2.85

Calculated values
The value obtained for the total DFT energy (no corrections) is -0.32622 Ha/atom. The calculation puts the formation energy at -0.631 eV/atom. The calculated density comes out at 12.8 g cm⁻³.

(11)
Computed, not measured: a relaxed HfS2 crystal at the GGA-PBE level of DFT.

abc: 3.6434 3.6434 6.5845
angles: 90.00 90.00 120.00
Last column: nearest neighbours and their distance in Å.
Space group P-3m1 (No. 164)
Inequivalent atoms, fractional coordinates:
Hf (0.0000, 0.0000, 0.0000) [1 per cell]  6 S 2.55
S (0.3333, 0.6667, 0.2194) [2 per cell]  3 Hf 2.55

Calculated values
The value obtained for the total DFT energy (no corrections) is -0.28127 Ha/atom. The calculation puts the formation energy at -1.912 eV/atom. The calculated density comes out at 5.3 g cm⁻³.

(12)
Computed, not measured: a relaxed HfSeS crystal at the GGA-PBE level of DFT.

abc: 3.7135 3.7135 6.5418
angles: 90.00 90.00 120.00
Last column: nearest neighbours and their distance in Å.
Space group P3m1 (No. 156)
Inequivalent atoms, fractional coordinates:
Hf (0.0000, 0.0000, 0.0000) [1 per cell]  3 S 2.55, 3 Se 2.69
Se (0.6667, 0.3333, 0.7512) [1 per cell]  3 Hf 2.69
S (0.3333, 0.6667, 0.2122) [1 per cell]  3 Hf 2.55

Calculated values
The value obtained for the total DFT energy (no corrections) is -0.26910 Ha/atom. The calculation puts the formation energy at -1.627 eV/atom. The calculated density comes out at 6.2 g cm⁻³.